Record 1
# Bi2S2O9

A relaxed structure of Bi2S2O9 (PBE, Materials Project).

Summary:
ΔH_f (0 K), eV/atom: -1.854
Total energy, eV/atom: -6.04
Space group: C2/c (15)
Density, Mg/m³: 5.5

Lattice parameters (Å, degrees): 16.8336 16.8336 23.3215 119.34 119.34 23.58
Last column: nearest neighbours and their distance in Å.
Atoms (fractional coordinates):
Bi (0.0158, 0.0331, 0.1222)  3 O 2.18-2.40
Bi (0.0240, 0.0975, 0.3077)  4 O 2.18-2.35
Bi (0.0331, 0.0158, 0.6222)  3 O 2.18-2.40
Bi (0.0975, 0.0240, 0.8077)  4 O 2.18-2.35
Bi (0.2112, 0.3353, 0.3726)  4 O 2.21-2.46
Bi (0.2763, 0.3517, 0.0583)  3 O 2.17-2.42
Bi (0.2969, 0.4098, 0.2951)  3 O 2.16-2.38
Bi (0.3353, 0.2112, 0.8726)  4 O 2.21-2.46
Bi (0.3517, 0.2763, 0.5583)  3 O 2.17-2.42
Bi (0.3885, 0.4035, 0.4829)  4 O 2.18-2.37
Bi (0.4035, 0.3885, 0.9829)  4 O 2.18-2.37
Bi (0.4098, 0.2969, 0.7951)  3 O 2.16-2.38
Bi (0.5902, 0.7031, 0.2049)  3 O 2.16-2.38
Bi (0.5965, 0.6115, 0.0171)  4 O 2.18-2.37
Bi (0.6115, 0.5965, 0.5171)  4 O 2.18-2.37
Bi (0.6483, 0.7237, 0.4417)  3 O 2.17-2.42
Bi (0.6647, 0.7888, 0.1274)  4 O 2.21-2.46
Bi (0.7031, 0.5902, 0.7049)  3 O 2.16-2.38
Bi (0.7237, 0.6483, 0.9417)  3 O 2.17-2.42
Bi (0.7888, 0.6647, 0.6274)  4 O 2.21-2.46
Bi (0.9025, 0.9760, 0.1923)  4 O 2.18-2.35
Bi (0.9669, 0.9842, 0.3778)  3 O 2.18-2.40
Bi (0.9760, 0.9025, 0.6923)  4 O 2.18-2.35
Bi (0.9842, 0.9669, 0.8778)  3 O 2.18-2.40
S (0.0813, 0.0860, 0.4962)  4 O 1.47-1.54
S (0.0860, 0.0813, 0.9962)  4 O 1.47-1.54
S (0.1058, 0.1791, 0.2253)  4 O 1.46-1.53
S (0.1682, 0.2292, 0.4586)  4 O 1.47-1.53
S (0.1791, 0.1058, 0.7253)  4 O 1.46-1.53
S (0.1993, 0.3001, 0.1757)  4 O 1.47-1.54
S (0.2292, 0.1682, 0.9586)  4 O 1.47-1.53
S (0.3001, 0.1993, 0.6757)  4 O 1.47-1.54
S (0.3745, 0.4652, 0.1754)  4 O 1.48-1.54
S (0.4354, 0.5123, 0.3967)  4 O 1.47-1.52
S (0.4652, 0.3745, 0.6754)  4 O 1.48-1.54
S (0.4877, 0.5646, 0.1033)  4 O 1.47-1.52
S (0.5123, 0.4354, 0.8967)  4 O 1.47-1.52
S (0.5348, 0.6255, 0.3246)  4 O 1.48-1.54
S (0.5646, 0.4877, 0.6033)  4 O 1.47-1.52
S (0.6255, 0.5348, 0.8246)  4 O 1.48-1.54
S (0.6999, 0.8007, 0.3243)  4 O 1.47-1.54
S (0.7708, 0.8318, 0.0414)  4 O 1.47-1.53
S (0.8007, 0.6999, 0.8243)  4 O 1.47-1.54
S (0.8209, 0.8942, 0.2747)  4 O 1.46-1.53
S (0.8318, 0.7708, 0.5414)  4 O 1.47-1.53
S (0.8942, 0.8209, 0.7747)  4 O 1.46-1.53
S (0.9140, 0.9187, 0.0038)  4 O 1.47-1.54
S (0.9187, 0.9140, 0.5038)  4 O 1.47-1.54
O (0.0058, 0.1883, 0.2244)  1 S 1.53
O (0.0057, 0.5439, 0.8591)  1 S 1.48
O (0.0102, 0.1009, 0.9215)  1 S 1.54
O (0.0138, 0.8876, 0.4844)  1 S 1.47
O (0.0167, 0.6359, 0.5901)  1 S 1.50
O (0.0225, 0.2337, 0.6694)  1 S 1.50
O (0.0294, 0.9521, 0.7976)  3 Bi 2.18-2.20
O (0.0351, 0.2925, 0.9447)  1 S 1.50
O (0.0441, 0.7225, 0.4956)  1 S 1.48
O (0.0479, 0.9706, 0.7024)  3 Bi 2.18-2.20
O (0.0544, 0.6221, 0.7878)  1 S 1.49
O (0.0590, 0.7185, 0.9673)  1 S 1.48
O (0.1009, 0.0102, 0.4215)  1 S 1.54
O (0.1085, 0.3212, 0.6560)  1 S 1.47
O (0.1124, 0.9862, 0.0156)  1 S 1.47
O (0.1187, 0.3255, 0.5269)  1 S 1.47
O (0.1238, 0.2287, 0.7884)  1 S 1.46
O (0.1773, 0.2966, 0.9479)  1 S 1.53
O (0.1883, 0.0058, 0.7244)  1 S 1.53
O (0.1883, 0.3573, 0.2509)  1 S 1.54
O (0.2287, 0.1238, 0.2884)  1 S 1.46
O (0.2337, 0.0225, 0.1694)  1 S 1.50
O (0.2481, 0.6591, 0.1891)  1 S 1.48
O (0.2775, 0.9559, 0.0044)  1 S 1.48
O (0.2796, 0.6369, 0.3392)  1 S 1.52
O (0.2810, 0.4835, 0.1891)  1 S 1.48
O (0.2815, 0.9410, 0.5327)  1 S 1.48
O (0.2879, 0.2901, 0.6646)  1 S 1.48
O (0.2901, 0.2879, 0.1646)  1 S 1.48
O (0.2925, 0.0351, 0.4447)  1 S 1.50
O (0.2966, 0.1773, 0.4479)  1 S 1.53
O (0.3024, 0.3821, 0.3788)  3 Bi 2.16-2.21
O (0.3193, 0.5739, 0.7130)  1 S 1.48
O (0.3212, 0.1085, 0.1560)  1 S 1.47
O (0.3244, 0.3292, 0.4764)  3 Bi 2.17-2.21
O (0.3255, 0.1187, 0.0269)  1 S 1.47
O (0.3292, 0.3244, 0.9764)  3 Bi 2.17-2.21
O (0.3409, 0.7519, 0.3109)  1 S 1.48
O (0.3508, 0.6363, 0.0424)  1 S 1.47
O (0.3573, 0.1883, 0.7509)  1 S 1.54
O (0.3582, 0.6337, 0.8868)  1 S 1.49
O (0.3631, 0.7204, 0.1608)  1 S 1.52
O (0.3637, 0.6492, 0.4576)  1 S 1.47
O (0.3641, 0.9833, 0.9099)  1 S 1.50
O (0.3663, 0.6418, 0.6132)  1 S 1.49
O (0.3779, 0.9456, 0.7122)  1 S 1.49
O (0.3821, 0.3024, 0.8788)  3 Bi 2.16-2.21
O (0.3925, 0.3975, 0.6011)  1 S 1.54
O (0.3975, 0.3925, 0.1011)  1 S 1.54
O (0.4043, 0.4544, 0.8960)  1 S 1.52
O (0.4261, 0.6807, 0.7870)  1 S 1.48
O (0.4544, 0.4043, 0.3960)  1 S 1.52
O (0.4561, 0.9943, 0.6409)  1 S 1.48
O (0.4835, 0.2810, 0.6891)  1 S 1.48
O (0.5165, 0.7190, 0.3109)  1 S 1.48
O (0.5439, 0.0057, 0.3591)  1 S 1.48
O (0.5456, 0.5957, 0.6040)  1 S 1.52
O (0.5739, 0.3193, 0.2130)  1 S 1.48
O (0.5957, 0.5456, 0.1040)  1 S 1.52
O (0.6026, 0.6075, 0.8989)  1 S 1.54
O (0.6075, 0.6026, 0.3989)  1 S 1.54
O (0.6179, 0.6976, 0.1212)  3 Bi 2.16-2.21
O (0.6221, 0.0544, 0.2878)  1 S 1.49
O (0.6337, 0.3582, 0.3868)  1 S 1.49
O (0.6359, 0.0167, 0.0901)  1 S 1.50
O (0.6363, 0.3508, 0.5424)  1 S 1.47
O (0.6369, 0.2796, 0.8392)  1 S 1.52
O (0.6418, 0.3663, 0.1132)  1 S 1.49
O (0.6427, 0.8117, 0.2491)  1 S 1.54
O (0.6492, 0.3637, 0.9576)  1 S 1.47
O (0.6591, 0.2481, 0.6891)  1 S 1.48
O (0.6708, 0.6756, 0.0236)  3 Bi 2.17-2.21
O (0.6745, 0.8813, 0.9731)  1 S 1.47
O (0.6756, 0.6708, 0.5236)  3 Bi 2.17-2.21
O (0.6788, 0.8915, 0.8440)  1 S 1.47
O (0.6807, 0.4261, 0.2870)  1 S 1.48
O (0.6976, 0.6179, 0.6212)  3 Bi 2.16-2.21
O (0.7034, 0.8227, 0.5521)  1 S 1.53
O (0.7075, 0.9649, 0.5553)  1 S 1.50
O (0.7099, 0.7121, 0.8354)  1 S 1.48
O (0.7121, 0.7099, 0.3354)  1 S 1.48
O (0.7185, 0.0590, 0.4673)  1 S 1.48
O (0.7190, 0.5165, 0.8109)  1 S 1.48
O (0.7204, 0.3631, 0.6608)  1 S 1.52
O (0.7225, 0.0441, 0.9956)  1 S 1.48
O (0.7519, 0.3409, 0.8109)  1 S 1.48
O (0.7663, 0.9775, 0.8306)  1 S 1.50
O (0.7713, 0.8762, 0.7116)  1 S 1.46
O (0.8117, 0.6427, 0.7491)  1 S 1.54
O (0.8117, 0.9942, 0.2756)  1 S 1.53
O (0.8227, 0.7034, 0.0521)  1 S 1.53
O (0.8762, 0.7713, 0.2116)  1 S 1.46
O (0.8813, 0.6745, 0.4731)  1 S 1.47
O (0.8876, 0.0138, 0.9844)  1 S 1.47
O (0.8915, 0.6788, 0.3440)  1 S 1.47
O (0.8991, 0.9898, 0.5785)  1 S 1.54
O (0.9410, 0.2815, 0.0327)  1 S 1.48
O (0.9456, 0.3779, 0.2122)  1 S 1.49
O (0.9521, 0.0294, 0.2976)  3 Bi 2.18-2.20
O (0.9559, 0.2775, 0.5044)  1 S 1.48
O (0.9649, 0.7075, 0.0553)  1 S 1.50
O (0.9706, 0.0479, 0.2024)  3 Bi 2.18-2.20
O (0.9775, 0.7663, 0.3306)  1 S 1.50
O (0.9833, 0.3641, 0.4099)  1 S 1.50
O (0.9862, 0.1124, 0.5156)  1 S 1.47
O (0.9898, 0.8991, 0.0785)  1 S 1.54
O (0.9943, 0.4561, 0.1409)  1 S 1.48
O (0.9942, 0.8117, 0.7756)  1 S 1.53

***

Record 2
# Bi12SbO20

A relaxed structure of Bi12SbO20 (PBE, Materials Project).

Summary:
ΔH_f (0 K), eV/atom: -1.624
Total energy, eV/atom: -5.75
Space group: I23 (197)
Density, Mg/m³: 8.7

Lattice parameters (Å, degrees): 9.0027 9.0027 9.0027 109.47 109.47 109.47
Last column: nearest neighbours and their distance in Å.
Atoms (fractional coordinates):
Bi (0.1409, 0.3041, 0.8043)  3 O 2.11-2.26
Bi (0.1631, 0.8591, 0.6634)  3 O 2.11-2.26
Bi (0.1957, 0.4997, 0.3366)  3 O 2.11-2.26
Bi (0.3041, 0.8043, 0.1409)  3 O 2.11-2.26
Bi (0.3366, 0.1957, 0.4997)  3 O 2.11-2.26
Bi (0.4997, 0.3366, 0.1957)  3 O 2.11-2.26
Bi (0.5003, 0.6959, 0.8369)  3 O 2.11-2.26
Bi (0.6634, 0.1631, 0.8591)  3 O 2.11-2.26
Bi (0.6959, 0.8369, 0.5003)  3 O 2.11-2.26
Bi (0.8043, 0.1409, 0.3041)  3 O 2.11-2.26
Bi (0.8369, 0.5003, 0.6959)  3 O 2.11-2.26
Bi (0.8591, 0.6634, 0.1631)  3 O 2.11-2.26
Sb (0.0000, 0.0000, 0.0000)  4 O 2.02
O (0.0000, 0.0000, 0.2239)  1 Sb 2.02
O (0.0000, 0.0000, 0.6168)  3 Bi 2.26
O (0.0000, 0.2239, 0.0000)  1 Sb 2.02
O (0.0000, 0.6168, 0.0000)  3 Bi 2.26
O (0.1179, 0.7568, 0.3772)  2 Bi 2.11-2.26
O (0.2239, 0.0000, 0.0000)  1 Sb 2.02
O (0.2432, 0.3610, 0.6204)  2 Bi 2.11-2.26
O (0.2594, 0.6390, 0.8821)  2 Bi 2.11-2.26
O (0.3610, 0.6204, 0.2432)  2 Bi 2.11-2.26
O (0.3772, 0.1179, 0.7568)  2 Bi 2.11-2.26
O (0.3796, 0.7406, 0.6228)  2 Bi 2.11-2.26
O (0.3832, 0.3832, 0.3832)  3 Bi 2.26
O (0.6168, 0.0000, 0.0000)  3 Bi 2.26
O (0.6204, 0.2432, 0.3610)  2 Bi 2.11-2.26
O (0.6228, 0.3796, 0.7406)  2 Bi 2.11-2.26
O (0.6390, 0.8821, 0.2594)  2 Bi 2.11-2.26
O (0.7406, 0.6228, 0.3796)  2 Bi 2.11-2.26
O (0.7568, 0.3772, 0.1179)  2 Bi 2.11-2.26
O (0.7761, 0.7761, 0.7761)  1 Sb 2.02
O (0.8821, 0.2594, 0.6390)  2 Bi 2.11-2.26

***

Record 3
# Sr2ScBiO6

A relaxed structure of Sr2ScBiO6 (PBE, Materials Project).

Summary:
ΔH_f (0 K), eV/atom: -2.793
Total energy, eV/atom: -6.71
Space group: Fm-3m (225)
Density, Mg/m³: 6.0

Lattice parameters (Å, degrees): 5.9050 5.9050 5.9050 60.00 60.00 60.00
Last column: nearest neighbours and their distance in Å.
Atoms (fractional coordinates):
Sr (0.2500, 0.2500, 0.2500)  12 O 2.95
Sr (0.7500, 0.7500, 0.7500)  12 O 2.95
Sc (0.0000, 0.0000, 0.0000)  6 O 2.08
Bi (0.5000, 0.5000, 0.5000)  6 O 2.10
O (0.2485, 0.2485, 0.7515)  1 Sc 2.08, 1 Bi 2.10
O (0.2485, 0.7515, 0.2485)  1 Sc 2.08, 1 Bi 2.10
O (0.2485, 0.7515, 0.7515)  1 Sc 2.08, 1 Bi 2.10
O (0.7515, 0.2485, 0.2485)  1 Sc 2.08, 1 Bi 2.10
O (0.7515, 0.2485, 0.7515)  1 Sc 2.08, 1 Bi 2.10
O (0.7515, 0.7515, 0.2485)  1 Sc 2.08, 1 Bi 2.10

***

Record 4
# Bi2SeO6

A relaxed structure of Bi2SeO6 (PBE, Materials Project).

Summary:
ΔH_f (0 K), eV/atom: -1.337
Total energy, eV/atom: -5.43
Space group: Cmce (64)
Density, Mg/m³: 8.5

Lattice parameters (Å, degrees): 8.4993 8.4993 5.3797 90.00 90.00 143.18
Last column: nearest neighbours and their distance in Å.
Atoms (fractional coordinates):
Bi (0.1684, 0.8316, 0.9980)  5 O 2.31-2.53
Bi (0.3316, 0.6684, 0.4980)  5 O 2.31-2.53
Bi (0.6684, 0.3316, 0.5020)  5 O 2.31-2.53
Bi (0.8316, 0.1684, 0.0020)  5 O 2.31-2.53
Se (0.0000, 0.0000, 0.5000)  2 O 1.75
Se (0.5000, 0.5000, 0.0000)  2 O 1.75
O (0.0000, 0.5000, 0.2500)  4 Bi 2.31-2.32
O (0.0000, 0.5000, 0.7500)  4 Bi 2.31-2.32
O (0.1058, 0.8942, 0.4298)  1 Se 1.75
O (0.2174, 0.2826, 0.2500)  2 Se 1.97
O (0.2826, 0.2174, 0.7500)  2 Se 1.97
O (0.3942, 0.6058, 0.9298)  1 Se 1.75
O (0.5000, 0.0000, 0.2500)  4 Bi 2.31-2.32
O (0.5000, 0.0000, 0.7500)  4 Bi 2.31-2.32
O (0.6058, 0.3942, 0.0702)  1 Se 1.75
O (0.7174, 0.7826, 0.2500)  2 Se 1.97
O (0.7826, 0.7174, 0.7500)  2 Se 1.97
O (0.8942, 0.1058, 0.5702)  1 Se 1.75